9
Lattice="1.673 -2.898 0.000 1.673 2.898 0.000 0.000 0.000 30.973" Properties=species:S:1:pos:R:3 comment="Te2Mo2WSe2S2 | Materials Project | PBE | relaxed" crystal_system=trigonal spacegroup=P3m1 formation_energy_kj_per_mol_atoms=-62.3 polymorph_energy_mev_per_atom=0.5 pbc="T T T"
Te 0.000 0.000 8.854
Te 0.000 0.000 12.641
Mo 1.673 0.966 10.747
Mo 0.000 0.000 3.581
Se 1.673 0.966 1.916
Se 1.673 0.966 5.247
S 1.673 0.966 16.390
S 1.673 0.966 19.434
W 0.000 0.000 17.913

=====

117
Lattice="8.939 0.003 0.032 -4.467 7.766 -0.012 0.082 0.011 22.452" Properties=species:S:1:pos:R:3 comment="Na5HfZn3P3S3O24 | Materials Project | PBE | relaxed" crystal_system=triclinic spacegroup=P1 formation_energy_kj_per_mol_atoms=-230.3 pbc="T T T"
O 3.828 4.123 5.500
O 7.956 1.453 6.773
O 3.829 0.929 14.318
O 1.162 3.752 8.197
O -0.981 3.861 19.435
O 3.523 1.229 5.479
O 2.908 7.607 9.237
O -0.687 3.661 5.670
O 2.957 2.451 16.751
O 1.748 4.955 19.467
O 6.244 2.836 14.395
O 3.401 3.968 14.311
O 0.767 6.699 1.779
O 3.560 3.889 20.758
O -0.593 3.458 21.919
O 1.188 6.630 10.665
O 0.798 1.696 15.559
O -1.594 4.975 1.758
O 5.475 1.164 0.721
O 0.735 6.837 8.129
O -0.894 3.862 12.983
O 5.164 4.161 0.677
O 1.020 6.550 16.997
O 1.672 5.296 5.735
O 6.222 2.384 11.933
O -1.579 5.371 16.976
O 0.745 3.715 17.002
O -3.321 6.280 15.616
O 5.162 1.107 9.532
O 3.478 1.185 11.928
O 7.273 0.239 1.979
O 0.775 1.530 9.214
O 1.908 5.393 21.976
O 2.691 2.405 0.659
O 3.769 6.098 6.792
O 6.160 2.462 5.544
O 1.147 1.495 18.139
O -1.058 6.619 21.841
O -2.624 7.555 4.378
O 1.019 3.811 1.788
O 5.198 0.931 3.116
O 1.732 0.195 13.199
O 7.202 0.171 18.050
O 2.729 2.761 3.062
O 0.958 1.390 1.974
O -2.772 7.649 20.436
O 3.680 6.382 20.461
O 3.810 4.199 11.835
O -0.652 6.731 12.972
O 2.862 2.776 9.516
O 5.488 1.210 16.746
O 3.902 6.272 13.211
O 2.647 7.534 15.597
O -3.569 6.427 9.217
O -0.594 6.783 19.360
O 3.373 6.251 4.354
O 5.281 4.128 16.790
O 5.386 3.947 9.495
O 1.819 0.207 6.813
O -1.787 5.378 10.623
O -0.765 1.683 4.297
O 6.163 2.831 20.762
O 5.065 6.258 1.992
O 0.803 3.446 10.625
O -0.596 1.502 20.437
O 3.855 1.133 20.748
O 8.032 1.321 13.217
O 1.650 5.067 12.976
O -0.975 6.540 5.701
O 5.555 4.006 3.178
O -1.797 4.940 8.048
O 5.302 6.114 18.104
S 3.217 0.321 13.137
S 5.843 5.485 16.874
S 3.133 5.456 5.611
S 1.849 2.576 1.914
S 6.354 0.032 16.857
S 5.774 0.302 1.941
S -1.279 2.287 5.576
S 1.345 2.875 9.368
S 2.665 0.026 5.622
Zn 0.016 0.032 7.911
Zn 8.931 0.088 14.746
Zn 4.503 2.577 4.167
Zn -4.366 7.702 3.499
Zn 0.048 0.082 19.003
Zn 0.034 5.189 11.427
Zn 0.004 5.264 7.272
Zn -0.101 5.223 0.229
Zn 4.457 2.691 15.379
Na 2.849 5.450 1.868
Na 4.516 2.507 18.458
Na 4.579 7.737 22.374
Na 5.778 5.311 20.505
Na -2.793 5.399 13.064
Na 1.202 2.649 13.206
Na 1.751 7.472 13.055
Na -0.011 5.263 3.847
Na -1.189 2.643 1.916
Na 3.280 5.287 9.357
Na 1.642 2.292 20.391
Na 4.525 2.397 7.440
Na 8.948 0.033 11.150
Na 0.100 5.087 14.923
Na -2.790 4.929 5.694
Hf 4.623 2.600 10.791
Hf 0.104 5.160 18.264
Hf 4.574 2.603 22.014
P 7.154 2.608 13.200
P 1.433 2.276 16.840
P -1.203 2.884 20.629
P 1.368 7.458 9.363
P -1.245 7.461 20.587
P 3.187 4.889 13.122
P 2.693 5.238 20.671
P -2.596 5.229 9.326
P 5.813 4.899 1.951

=====

32
Lattice="1.711 -5.610 -4.451 6.255 3.401 -1.878 9.166 -7.429 9.830" Properties=species:S:1:pos:R:3 comment="AlTlS2 | Materials Project | PBE | relaxed" crystal_system=monoclinic spacegroup=C2/c formation_energy_kj_per_mol_atoms=-110.1 pbc="T T T"
S 13.707 -5.539 3.076
S 11.310 -6.623 0.496
S 6.704 -5.864 0.829
S 7.425 -5.195 -2.801
S 12.852 -2.721 5.337
S 6.569 -2.377 -0.540
S 9.817 -7.895 7.586
S 5.822 -3.015 3.004
S 4.149 -3.424 -3.204
S 3.425 -4.098 0.424
S 12.983 -6.213 6.704
S 10.428 -3.773 2.672
S 9.707 -4.443 6.301
S 4.280 -6.917 -1.837
S 10.563 -7.260 4.041
S 7.315 -1.742 -4.086
Al 11.500 -5.775 2.606
Al 5.632 -3.863 0.894
Al 10.671 -3.029 4.805
Al 6.461 -6.609 -1.305
Al 3.277 -4.890 -1.702
Al 6.338 -3.210 -2.637
Al 10.794 -6.428 6.137
Al 13.855 -4.748 5.202
Tl 6.736 0.793 -1.515
Tl 9.538 -3.850 -0.587
Tl 8.483 -8.546 1.794
Tl 3.608 -0.888 -0.489
Tl 8.649 -1.091 1.707
Tl 13.523 -8.749 3.989
Tl 10.396 -10.430 5.015
Tl 7.594 -5.787 4.087

=====

16
Lattice="0.000 0.000 6.249 7.291 0.000 0.000 0.000 9.134 0.000" Properties=species:S:1:pos:R:3 comment="Ho3Ru | Materials Project | PBE | relaxed" crystal_system=orthorhombic spacegroup=Pnma formation_energy_kj_per_mol_atoms=-32.6 pbc="T T T"
Ho 7.007 6.850 2.277
Ho 4.928 0.593 2.065
Ho 3.929 2.283 5.402
Ho 1.282 0.593 1.059
Ho 6.009 5.160 5.190
Ho 1.282 3.974 1.059
Ho 3.362 6.850 0.847
Ho 4.928 3.974 2.065
Ho 0.284 2.283 3.972
Ho 6.009 8.541 5.190
Ho 2.363 5.160 4.184
Ho 2.363 8.541 4.184
Ru 2.788 2.283 2.865
Ru 4.503 6.850 3.384
Ru 6.433 2.283 0.259
Ru 0.858 6.850 5.990

=====

12
Lattice="5.523 0.000 0.000 0.000 5.523 0.000 0.000 0.000 5.523" Properties=species:S:1:pos:R:3 comment="MnS2 | Materials Project | PBE | relaxed" crystal_system=cubic spacegroup=Pa-3 formation_energy_kj_per_mol_atoms=-75.2 pbc="T T T"
S 4.865 0.658 3.420
S 2.103 2.103 2.103
S 0.658 4.865 2.103
S 0.658 3.420 4.865
S 3.420 3.420 3.420
S 3.420 4.865 0.658
S 2.103 0.658 4.865
S 4.865 2.103 0.658
Mn 0.000 0.000 0.000
Mn 2.762 2.762 0.000
Mn 0.000 2.762 2.762
Mn 2.762 0.000 2.762

=====

6
Lattice="4.167 0.000 0.000 0.000 4.167 0.000 0.000 0.000 6.677" Properties=species:S:1:pos:R:3 comment="LaYMn2Si2 | Materials Project | PBE | relaxed" crystal_system=tetragonal spacegroup=P4mm formation_energy_kj_per_mol_atoms=-44.3 pbc="T T T"
Si 0.000 0.000 1.098
Si 2.084 2.084 5.534
Y 0.000 0.000 4.656
Mn 2.084 0.000 6.641
Mn 0.000 2.084 6.641
La 2.084 2.084 2.139

=====

8
Lattice="9.826 0.000 0.000 0.000 9.826 0.000 0.000 0.000 9.826" Properties=species:S:1:pos:R:3 comment="Cs | Materials Project | PBE | relaxed" crystal_system=cubic spacegroup=Pm-3n formation_energy_kj_per_mol_atoms=4.5 polymorph_energy_mev_per_atom=46.7 pbc="T T T"
Cs 0.000 7.369 4.913
Cs 4.913 0.000 7.369
Cs 0.000 0.000 0.000
Cs 2.456 4.913 0.000
Cs 4.913 0.000 2.456
Cs 4.913 4.913 4.913
Cs 0.000 2.456 4.913
Cs 7.369 4.913 0.000

=====

2
Lattice="0.000 2.741 2.741 2.741 0.000 2.741 2.741 2.741 0.000" Properties=species:S:1:pos:R:3 comment="ZrAs | Materials Project | PBE | relaxed" crystal_system=cubic spacegroup=Fm-3m formation_energy_kj_per_mol_atoms=-103.8 pbc="T T T"
Zr 2.741 2.741 2.741
As 0.000 0.000 0.000

=====

22
Lattice="4.000 0.000 0.000 0.000 6.783 0.000 0.000 1.607 15.406" Properties=species:S:1:pos:R:3 comment="Mg6Si5 | Materials Project | PBE | relaxed" crystal_system=monoclinic spacegroup=Pm formation_energy_kj_per_mol_atoms=11.1 polymorph_energy_mev_per_atom=81.6 pbc="T T T"
Mg 0.000 3.750 7.601
Mg 0.000 3.410 14.371
Mg 2.000 2.635 9.854
Mg 2.000 5.944 8.929
Mg 0.000 5.045 2.469
Mg 2.000 5.080 12.310
Mg 0.000 1.677 1.972
Mg 2.000 6.678 0.435
Mg 2.000 1.645 6.545
Mg 0.000 6.740 14.114
Mg 2.000 3.533 0.462
Mg 2.000 5.001 5.395
Si 0.000 4.643 10.319
Si 0.000 1.188 8.654
Si 0.000 2.838 11.858
Si 0.000 7.060 11.119
Si 0.000 6.350 6.910
Si 2.000 3.060 3.266
Si 2.000 8.068 12.465
Si 2.000 6.990 3.303
Si 0.000 3.013 4.776
Si 0.000 0.518 4.688

=====

10
Lattice="0.000 -4.286 -4.286 4.286 0.000 -4.286 4.286 -4.286 0.000" Properties=species:S:1:pos:R:3 comment="Sr2CeHfO6 | Materials Project | PBE | relaxed" crystal_system=cubic spacegroup=Fm-3m formation_energy_kj_per_mol_atoms=-347.7 polymorph_energy_mev_per_atom=64.7 pbc="T T T"
O 6.357 -4.286 -4.286
O 4.286 -4.286 -2.216
O 4.286 -4.286 -6.357
O 4.286 -6.357 -4.286
O 4.286 -2.216 -4.286
O 2.216 -4.286 -4.286
Hf 4.286 -4.286 -4.286
Sr 2.143 -2.143 -2.143
Sr 6.429 -6.429 -6.429
Ce 0.000 0.000 0.000

=====

48
Lattice="-9.083 -2.222 4.761 1.558 -0.568 2.708 -0.624 11.898 4.364" Properties=species:S:1:pos:R:3 comment="MgBHO3 | Materials Project | PBE | relaxed" crystal_system=monoclinic spacegroup=P2_1/c formation_energy_kj_per_mol_atoms=-251.0 pbc="T T T"
B -0.880 9.447 6.617
B -2.058 3.134 5.216
B 0.109 7.781 4.952
B -8.257 1.326 6.881
B -7.268 -0.340 5.216
B -6.090 5.973 6.617
B -4.901 8.172 7.140
B -3.247 0.935 4.693
O -7.421 0.924 5.839
O -8.508 2.649 7.120
O -5.122 5.477 5.794
O -5.420 2.838 7.295
O 0.360 6.458 4.713
O -4.527 1.482 4.772
O -2.728 6.269 4.538
O -3.075 -0.407 4.495
O -5.988 7.300 7.107
O -2.010 9.604 7.391
O -5.073 9.514 7.338
O -6.138 -0.497 4.442
O -7.205 5.268 7.019
O -0.943 3.839 4.814
O -0.727 8.183 5.994
O -3.621 7.625 7.061
O -1.604 0.519 1.930
O -3.026 3.630 6.038
O 0.326 2.565 2.973
O 0.068 10.412 6.435
O -6.544 8.588 9.903
O -8.216 -1.305 5.397
O -2.160 1.807 4.726
O -8.474 6.542 8.860
H -5.242 0.746 4.644
H -2.098 1.306 2.239
H -0.200 2.998 3.752
H -5.620 1.881 7.350
H -7.948 6.109 8.081
H -6.050 7.801 9.594
H -2.906 8.361 7.189
H -2.528 7.226 4.483
Mg 0.327 0.471 2.677
Mg -3.086 5.661 6.484
Mg -5.062 3.446 5.349
Mg -3.550 10.902 6.699
Mg -8.474 8.636 9.156
Mg -1.196 5.453 3.446
Mg -6.952 3.654 8.387
Mg -4.598 -1.795 5.134

=====

24
Lattice="-1.331 -2.810 -1.996 8.337 -3.104 -1.187 -0.999 -6.364 9.624" Properties=species:S:1:pos:R:3 comment="MgH2Cl2O | Materials Project | PBE | relaxed" crystal_system=orthorhombic spacegroup=Pnma formation_energy_kj_per_mol_atoms=-153.6 pbc="T T T"
Mg 0.207 -7.521 8.739
Mg 5.800 -4.757 -2.299
Mg 4.840 -6.114 3.671
Mg 1.168 -6.164 2.769
H 5.647 -7.855 5.584
H 4.567 -5.738 -0.097
H 2.481 -7.533 7.240
H -0.859 -4.574 1.882
H 1.441 -6.540 6.537
H 3.526 -4.745 -0.800
H 0.361 -4.423 0.857
H 6.866 -7.704 4.558
Cl 5.343 -7.215 1.466
Cl -1.587 -7.805 6.915
Cl 3.170 -4.555 2.590
Cl 2.838 -7.723 3.850
Cl 7.595 -4.473 -0.475
Cl 1.490 -3.656 -0.977
Cl 0.664 -5.063 4.975
Cl 4.518 -8.623 7.417
O 4.427 -5.130 -0.859
O 1.580 -7.148 7.299
O 0.057 -4.866 1.682
O 5.951 -7.412 4.758